Entry from the Materials Project database: LaYMn4Si4 after structural relaxation (r2SCAN).

Cell: 3.9307 3.9307 10.7624 Å, 90.00 90.00 90.00°
Closest atoms and distances in Å follow each position.
Fractional coordinates of all 10 atoms:
1 Mn 0.0000 0.5000 0.7422  4 Si 2.39-2.40
2 Mn 0.5000 0.0000 0.2578  4 Si 2.39-2.40
3 Si 0.0000 0.0000 0.6144  4 Mn 2.40, 1 Si 2.46
4 Mn 0.0000 0.5000 0.2578  4 Si 2.39-2.40
5 Mn 0.5000 0.0000 0.7422  4 Si 2.39-2.40
6 Y 0.5000 0.5000 0.5000  8 Si 3.04, 8 Mn 3.26
7 Si 0.0000 0.0000 0.3856  4 Mn 2.40, 1 Si 2.46
8 Si 0.5000 0.5000 0.8688  4 Mn 2.39
9 La 0.0000 0.0000 0.0000  8 Si 3.12, 8 Mn 3.40
10 Si 0.5000 0.5000 0.1312  4 Mn 2.39

ρ = 5.6 Mg/m³
Space group = P4/mmm (123)
Total magnetization = 9.00 Bohr magnetons per cell
Formation enthalpy at 0 K = -6.21 eV/f.u.


Entry from the Materials Project database: AgSnF6 after structural relaxation (r2SCAN).

Cell: 5.1172 5.1787 5.6325 Å, 65.46 89.16 60.94°
Closest atoms and distances in Å follow each position.
Fractional coordinates of all 8 atoms:
1 Sn 0.5000 0.0000 0.5000  6 F 1.94-2.01
2 F 0.7482 0.8350 0.2600  1 Sn 2.01, 1 Ag 2.12
3 Ag 0.0000 0.0000 0.0000  4 F 2.11-2.12
4 F 0.2518 0.1650 0.7400  1 Sn 2.01, 1 Ag 2.12
5 F 0.8840 0.8583 0.7356  1 Sn 2.01, 1 Ag 2.11
6 F 0.4376 0.4386 0.2788  1 Sn 1.94
7 F 0.1160 0.1417 0.2644  1 Sn 2.01, 1 Ag 2.11
8 F 0.5624 0.5614 0.7212  1 Sn 1.94

ρ = 4.9 Mg/m³
Space group = P-1 (2)
Total magnetization = 1.00 Bohr magnetons per cell
Formation enthalpy at 0 K = -17.04 eV/f.u.


Entry from the Materials Project database: Tm3Th after structural relaxation (r2SCAN).

Cell: 7.1300 7.1300 5.6771 Å, 90.00 90.00 120.00°
Closest atoms and distances in Å follow each position.
Fractional coordinates of all 8 atoms:
1 Tm 0.8337 0.1663 0.7500  8 Tm 3.50-3.57, 4 Th 3.51-3.57
2 Tm 0.3326 0.1663 0.7500  8 Tm 3.50-3.57, 4 Th 3.51-3.57
3 Tm 0.6674 0.8337 0.2500  8 Tm 3.50-3.57, 4 Th 3.51-3.57
4 Tm 0.8337 0.6674 0.7500  8 Tm 3.50-3.57, 4 Th 3.51-3.57
5 Tm 0.1663 0.3326 0.2500  8 Tm 3.50-3.57, 4 Th 3.51-3.57
6 Tm 0.1663 0.8337 0.2500  8 Tm 3.50-3.57, 4 Th 3.51-3.57
7 Th 0.3333 0.6667 0.7500  12 Tm 3.51-3.57
8 Th 0.6667 0.3333 0.2500  12 Tm 3.51-3.57

ρ = 9.8 Mg/m³
Energy relative to the lowest polymorph listed for this composition = 0 meV/atom
Space group = P6_3/mmc (194)
Total magnetization = 2.76 Bohr magnetons per cell
Formation enthalpy at 0 K = 0.13 eV/f.u.


Q: The highest formation enthalpy at 0 K belongs to which entry?
A: Tm3Th